La5Sm3Co7CuO20 | PBE with a Hubbard U | optimized geometry

Cell lengths 10.9204, 11.5314, 17.6033 Å; angles 109.07, 108.12, 90.03 degrees
Fractional positions:
La1 0.4459 0.2050 0.8906
La2 0.1875 0.4351 0.8904
La3 0.0535 0.7969 0.6133
La4 0.3076 0.5675 0.6119
La5 0.9441 0.7032 0.3863
La6 0.9433 0.2041 0.3860
La7 0.4439 0.7042 0.3871
La8 0.4442 0.2029 0.3863
La9 0.6935 0.4329 0.3866
La10 0.5562 0.2965 0.6130
La11 0.0569 0.2956 0.6111
La12 0.3061 0.0654 0.6105
La13 0.8055 0.5669 0.6132
La14 0.6946 0.9319 0.3858
La15 0.1928 0.9334 0.3857
La16 0.8056 0.0669 0.6109
La17 0.4429 0.7069 0.8897
La18 0.1949 0.4332 0.3885
La19 0.0542 0.2950 0.1122
La20 0.9417 0.2029 0.8887
O1 0.4252 0.5685 0.7507
O2 0.8785 0.3930 0.0153
O3 0.4186 0.5683 0.2440
O4 0.1179 0.1255 0.1510
O5 0.1308 0.8815 0.0187
O6 0.1771 0.9319 0.7569
O7 0.9458 0.8897 0.3593
O8 0.6352 0.3824 0.5170
O9 0.1114 0.6245 0.9853
O10 0.1357 0.3818 0.5167
O11 0.3831 0.8908 0.0201
O12 0.1193 0.1193 0.9857
O13 0.6715 0.4325 0.7562
O14 0.8777 0.8842 0.0150
O15 0.8494 0.2735 0.1396
O16 0.1181 0.1184 0.4819
O17 0.3683 0.1117 0.4826
O18 0.6157 0.1242 0.1499
O19 0.8379 0.2826 0.6397
O20 0.8843 0.8841 0.5159
O21 0.0897 0.1111 0.6423
O22 0.9168 0.0674 0.2433
O23 0.3894 0.8835 0.5192
O24 0.6690 0.9282 0.7504
O25 0.6960 0.7186 0.3568
O26 0.6356 0.3801 0.0224
O27 0.6658 0.4275 0.2437
O28 0.3405 0.2802 0.6417
O29 0.1364 0.8808 0.5184
O30 0.8666 0.6149 0.9851
O31 0.1978 0.2189 0.3592
O32 0.1677 0.9261 0.2443
O33 0.6180 0.1159 0.4816
O34 0.7176 0.7255 0.8505
O35 0.4498 0.3872 0.3567
O36 0.6320 0.8777 0.0177
O37 0.9547 0.3757 0.8507
O38 0.4204 0.0707 0.7509
O39 0.2041 0.2226 0.8607
O40 0.1744 0.4336 0.2501
O41 0.6082 0.6209 0.1421
O42 0.3566 0.7768 0.1419
O43 0.3544 0.2743 0.1413
O44 0.6992 0.2234 0.8605
O45 0.9659 0.8784 0.8506
O46 0.9179 0.5654 0.2432
O47 0.8683 0.6154 0.4814
O48 0.6212 0.6168 0.9820
O49 0.6179 0.1165 0.9860
O50 0.4177 0.0669 0.2441
O51 0.6972 0.2190 0.3595
O52 0.6178 0.6193 0.4828
O53 0.1197 0.6199 0.4839
O54 0.4625 0.3886 0.8602
O55 0.3644 0.1097 0.9834
O56 0.1747 0.4347 0.7514
O57 0.1956 0.7219 0.3605
O58 0.5925 0.1141 0.6430
O59 0.8400 0.7783 0.6396
O60 0.9218 0.0662 0.7498
O61 0.8610 0.1067 0.9804
O62 0.8686 0.1134 0.4820
O63 0.3510 0.7806 0.6413
O64 0.5919 0.6141 0.6407
O65 0.1334 0.3846 0.0176
O66 0.3857 0.3870 0.5168
O67 0.0896 0.6129 0.6424
O68 0.3865 0.3900 0.0240
O69 0.2077 0.7252 0.8611
O70 0.4471 0.8876 0.3572
O71 0.6668 0.9253 0.2438
O72 0.1186 0.6264 0.1508
O73 0.3679 0.6154 0.9874
O74 0.8853 0.3868 0.5161
O75 0.6348 0.8789 0.5206
O76 0.8677 0.7744 0.1499
O77 0.4691 0.8763 0.8499
O78 0.9465 0.3897 0.3570
O79 0.3702 0.6154 0.4834
O80 0.9234 0.5747 0.7570
Cu1 0.0003 0.5024 0.0007
Cu2 0.4999 0.9990 0.0013
Cu3 0.7511 0.7503 0.0018
Cu4 0.9993 0.0005 0.0023
Co1 0.2544 0.2494 0.4993
Co2 0.1064 0.5968 0.2491
Co3 0.8554 0.4078 0.7505
Co4 0.8542 0.9022 0.7495
Co5 0.0041 0.5009 0.5000
Co6 0.8526 0.4024 0.2447
Co7 0.6057 0.0929 0.2481
Co8 0.0042 0.9993 0.4994
Co9 0.8560 0.9045 0.2475
Co10 0.2531 0.7522 0.0023
Co11 0.5049 0.5002 0.4998
Co12 0.1096 0.0939 0.7528
Co13 0.1055 0.0923 0.2484
Co14 0.2549 0.2514 0.0015
Co15 0.3585 0.4042 0.2462
Co16 0.6047 0.5934 0.2448
Co17 0.2552 0.7509 0.5010
Co18 0.5050 0.5005 0.0033
Co19 0.3612 0.4059 0.7527
Co20 0.7536 0.7498 0.4998
Co21 0.3544 0.9035 0.2461
Co22 0.1069 0.5990 0.7535
Co23 0.7540 0.2497 0.4994
Co24 0.3596 0.9046 0.7501
Co25 0.6107 0.5967 0.7506
Co26 0.5049 0.9986 0.5001
Co27 0.7539 0.2500 0.0014
Co28 0.6077 0.0940 0.7519
Sm1 0.2974 0.0675 0.1082
Sm2 0.2990 0.5698 0.1098
Sm3 0.1877 0.9332 0.8924
Sm4 0.0484 0.7893 0.1089
Sm5 0.6940 0.4337 0.8925
Sm6 0.9408 0.7136 0.8923
Sm7 0.6907 0.9296 0.8892
Sm8 0.5483 0.7932 0.1092
Sm9 0.8000 0.5697 0.1086
Sm10 0.7941 0.0659 0.1067
Sm11 0.5542 0.7935 0.6111
Sm12 0.5512 0.2897 0.1096

Values from the calculation:
MP2020-corrected energy   -7.63 eV/atom
Volume   1978.3 Å³ per cell
Uncorrected energy   -6.93 eV per atom